(1)
He | PBE | relaxed

Values from the calculation:
ΔE_f: 0.000 eV per atom
ΔE to the lowest computed polymorph: 0.000 eV/atom
space-group type: Im-3m, No. 229

a = 2.7372 Å, b = 2.7372 Å, c = 2.7372 Å
α = 109.47°, β = 109.47°, γ = 109.47°
Positions (direct):
He  0.0000  0.0000  0.0000

***

(2)
SbSI | PBE | relaxed

Values from the calculation:
ΔE_f: -0.606 eV per atom
energy with MP2020 corrections: -3.869 eV/atom
space-group type: Pnma, No. 62

a = 4.1107 Å, b = 9.0198 Å, c = 10.7867 Å
α = 90.00°, β = 90.00°, γ = 90.00°
Positions (direct):
Sb  0.7500  0.1019  0.1246
Sb  0.2500  0.8981  0.8754
Sb  0.7500  0.6019  0.3754
Sb  0.2500  0.3981  0.6246
I  0.7500  0.5245  0.8161
I  0.7500  0.0245  0.6839
I  0.2500  0.4755  0.1839
I  0.2500  0.9755  0.3161
S  0.2500  0.1534  0.9644
S  0.7500  0.3466  0.4644
S  0.7500  0.8466  0.0356
S  0.2500  0.6534  0.5356